(1)
{"formula": "BaMn2V2O8", "functional": "GGA+U", "state": "optimized geometry", "space_group": "I4_1/acd, No. 142", "cell": [[0.921, -9.589, 2.996], [-7.729, 6.285, 1.593], [-0.449, -1.130, -10.015]], "species": ["O", "O", "O", "O", "Mn", "O", "Mn", "V", "Ba", "Mn", "O", "V", "O", "O", "O", "O", "O", "Mn", "O", "V", "O", "O", "V", "O", "V", "O", "V", "O", "O", "O", "Mn", "O", "O", "O", "Mn", "O", "Ba", "O", "O", "Mn", "Ba", "O", "O", "Mn", "O", "O", "O", "V", "O", "V", "O", "Ba"], "fractional_positions": [[0.436, 0.912, 0.835], [0.375, 0.213, 0.159], [0.054, 0.216, 0.841], [0.554, 0.713, 0.838], [0.582, 0.582, 0.665], [0.578, 0.412, 0.477], [0.918, 0.918, 0.335], [0.795, 0.125, 0.170], [0.500, 0.500, 0.000], [0.668, 0.168, 0.835], [0.899, 0.422, 0.835], [0.875, 0.545, 0.170], [0.662, 0.686, 0.335], [0.672, 0.338, 0.023], [0.851, 0.186, 0.023], [0.399, 0.564, 0.477], [0.351, 0.328, 0.665], [0.832, 0.668, 0.500], [0.875, 0.716, 0.162], [0.375, 0.705, 0.830], [0.466, 0.125, 0.662], [0.287, 0.125, 0.841], [0.375, 0.205, 0.330], [0.784, 0.625, 0.838], [0.955, 0.625, 0.830], [0.787, 0.946, 0.162], [0.455, 0.625, 0.330], [0.463, 0.804, 0.338], [0.375, 0.034, 0.338], [0.078, 0.601, 0.165], [0.082, 0.418, 0.000], [0.314, 0.649, 0.977], [0.284, 0.446, 0.159], [0.162, 0.828, 0.977], [0.332, 0.832, 0.165], [0.196, 0.534, 0.659], [0.750, 0.250, 0.500], [0.966, 0.304, 0.341], [0.696, 0.037, 0.662], [0.418, 0.082, 0.000], [0.250, 0.750, 0.500], [0.172, 0.149, 0.335], [0.963, 0.625, 0.659], [0.168, 0.332, 0.500], [0.088, 0.922, 0.523], [0.588, 0.064, 0.165], [0.875, 0.537, 0.341], [0.875, 0.045, 0.670], [0.936, 0.101, 0.523], [0.295, 0.125, 0.670], [0.814, 0.838, 0.665], [0.000, 0.000, 0.000]]}

(2)
{"formula": "Li9Mn21O40", "functional": "GGA+U", "state": "optimized geometry", "space_group": "F222, No. 22", "polymorph_energy_mev_per_atom": 17, "cell": [[3.311, 3.199, 3.829], [-0.491, 5.024, -3.217], [-15.505, 4.260, 14.254]], "species": ["O", "O", "Mn", "O", "O", "O", "Mn", "Li", "O", "Mn", "Mn", "Mn", "Mn", "O", "O", "O", "Li", "Mn", "O", "O", "O", "O", "Mn", "O", "Mn", "O", "O", "Li", "O", "Mn", "O", "O", "O", "Mn", "Mn", "Mn", "O", "Mn", "Li", "O", "O", "O", "Li", "O", "Li", "O", "Mn", "O", "Mn", "Mn", "Mn", "O", "Li", "O", "Li", "O", "Li", "O", "O", "O", "O", "Mn", "Mn", "O", "O", "O", "O", "O", "Mn", "O"], "fractional_positions": [[0.133, 0.350, 0.194], [0.733, 0.756, 0.990], [0.801, 0.699, 0.899], [0.874, 0.133, 0.791], [0.725, 0.259, 0.005], [0.516, 0.938, 0.399], [0.704, 0.298, 0.099], [0.374, 0.376, 0.253], [0.758, 0.735, 0.509], [0.100, 0.899, 0.799], [0.097, 0.903, 0.302], [0.101, 0.400, 0.799], [0.901, 0.597, 0.201], [0.657, 0.875, 0.694], [0.561, 0.485, 0.901], [0.124, 0.857, 0.205], [0.976, 0.774, 0.047], [0.701, 0.798, 0.601], [0.158, 0.882, 0.702], [0.950, 0.533, 0.106], [0.326, 0.666, 0.807], [0.270, 0.247, 0.005], [0.301, 0.700, 0.899], [0.671, 0.849, 0.205], [0.499, 0.500, 0.501], [0.335, 0.158, 0.791], [0.673, 0.344, 0.194], [0.826, 0.424, 0.348], [0.918, 0.049, 0.606], [0.398, 0.101, 0.699], [0.920, 0.540, 0.598], [0.083, 0.464, 0.404], [0.457, 0.524, 0.095], [0.503, 0.497, 0.998], [0.903, 0.098, 0.699], [0.000, 0.501, 0.501], [0.267, 0.726, 0.493], [0.499, 0.001, 0.998], [0.577, 0.173, 0.846], [0.040, 0.914, 0.896], [0.140, 0.320, 0.702], [0.867, 0.640, 0.807], [0.624, 0.626, 0.751], [0.240, 0.267, 0.493], [0.024, 0.226, 0.952], [0.944, 0.073, 0.106], [0.300, 0.701, 0.401], [0.475, 0.057, 0.606], [0.425, 0.825, 0.150], [0.601, 0.899, 0.302], [0.197, 0.301, 0.099], [0.859, 0.125, 0.295], [0.773, 0.977, 0.454], [0.733, 0.274, 0.509], [0.175, 0.575, 0.650], [0.085, 0.961, 0.399], [0.226, 0.024, 0.549], [0.538, 0.916, 0.901], [0.356, 0.133, 0.310], [0.277, 0.734, 0.990], [0.449, 0.071, 0.095], [0.299, 0.201, 0.401], [0.898, 0.104, 0.201], [0.334, 0.677, 0.310], [0.514, 0.440, 0.404], [0.482, 0.558, 0.598], [0.064, 0.483, 0.896], [0.846, 0.670, 0.295], [0.698, 0.303, 0.601], [0.649, 0.318, 0.694]]}

(3)
{"formula": "CoH18CN6ClO3", "functional": "GGA+U", "state": "optimized geometry", "space_group": "P2_13, No. 198", "cell": [[-7.632, -1.297, -6.583], [3.849, -9.013, -2.687], [-5.496, -4.511, 7.260]], "species": ["H", "H", "H", "H", "H", "H", "H", "Cl", "H", "N", "H", "H", "H", "H", "H", "H", "O", "H", "H", "N", "H", "H", "H", "Co", "H", "H", "N", "H", "H", "N", "H", "H", "H", "O", "H", "H", "C", "H", "C", "H", "O", "H", "H", "N", "H", "N", "Cl", "O", "H", "N", "Co", "Cl", "N", "H", "H", "N", "H", "N", "N", "H", "H", "Co", "H", "O", "O", "N", "H", "N", "H", "H", "N", "H", "O", "C", "N", "N", "H", "H", "Co", "H", "H", "H", "N", "N", "O", "H", "H", "H", "H", "H", "H", "H", "H", "H", "H", "H", "H", "H", "O", "N", "H", "C", "H", "O", "H", "H", "O", "H", "H", "H", "H", "N", "H", "Cl", "N", "N", "N", "O", "N", "H"], "fractional_positions": [[0.943, 0.556, 0.741], [0.977, 0.213, 0.102], [0.467, 0.616, 0.786], [0.452, 0.453, 0.770], [0.397, 0.419, 0.218], [0.741, 0.943, 0.556], [0.218, 0.397, 0.419], [0.759, 0.741, 0.259], [0.286, 0.033, 0.384], [0.972, 0.014, 0.799], [0.241, 0.557, 0.444], [0.081, 0.782, 0.897], [0.553, 0.070, 0.249], [0.557, 0.444, 0.241], [0.384, 0.286, 0.033], [0.770, 0.452, 0.453], [0.298, 0.852, 0.187], [0.714, 0.533, 0.116], [0.103, 0.581, 0.718], [0.986, 0.299, 0.528], [0.944, 0.259, 0.443], [0.443, 0.944, 0.259], [0.033, 0.384, 0.286], [0.491, 0.509, 0.009], [0.759, 0.057, 0.056], [0.116, 0.714, 0.533], [0.201, 0.472, 0.486], [0.897, 0.081, 0.782], [0.102, 0.977, 0.213], [0.528, 0.986, 0.299], [0.070, 0.249, 0.553], [0.581, 0.718, 0.103], [0.523, 0.787, 0.602], [0.202, 0.148, 0.687], [0.477, 0.287, 0.898], [0.057, 0.056, 0.759], [0.753, 0.753, 0.753], [0.251, 0.447, 0.570], [0.253, 0.747, 0.247], [0.603, 0.919, 0.282], [0.813, 0.798, 0.648], [0.547, 0.270, 0.048], [0.430, 0.751, 0.053], [0.495, 0.027, 0.684], [0.447, 0.570, 0.251], [0.027, 0.684, 0.495], [0.741, 0.259, 0.759], [0.187, 0.298, 0.852], [0.556, 0.741, 0.943], [0.005, 0.973, 0.184], [0.991, 0.991, 0.991], [0.259, 0.759, 0.741], [0.514, 0.701, 0.028], [0.952, 0.047, 0.230], [0.444, 0.241, 0.557], [0.316, 0.995, 0.473], [0.419, 0.218, 0.397], [0.299, 0.528, 0.986], [0.473, 0.316, 0.995], [0.048, 0.547, 0.270], [0.570, 0.251, 0.447], [0.009, 0.491, 0.509], [0.898, 0.477, 0.287], [0.148, 0.687, 0.202], [0.352, 0.313, 0.702], [0.184, 0.005, 0.973], [0.947, 0.930, 0.749], [0.486, 0.201, 0.472], [0.919, 0.282, 0.603], [0.749, 0.947, 0.930], [0.799, 0.972, 0.014], [0.967, 0.884, 0.214], [0.687, 0.202, 0.148], [0.247, 0.253, 0.747], [0.816, 0.505, 0.527], [0.527, 0.816, 0.505], [0.249, 0.553, 0.070], [0.786, 0.467, 0.616], [0.509, 0.009, 0.491], [0.398, 0.023, 0.713], [0.751, 0.053, 0.430], [0.056, 0.759, 0.057], [0.995, 0.473, 0.316], [0.701, 0.028, 0.514], [0.313, 0.702, 0.352], [0.023, 0.713, 0.398], [0.230, 0.952, 0.047], [0.953, 0.730, 0.548], [0.053, 0.430, 0.751], [0.782, 0.897, 0.081], [0.259, 0.443, 0.944], [0.616, 0.786, 0.467], [0.713, 0.398, 0.023], [0.730, 0.548, 0.953], [0.213, 0.102, 0.977], [0.214, 0.967, 0.884], [0.548, 0.953, 0.730], [0.718, 0.103, 0.581], [0.798, 0.648, 0.813], [0.973, 0.184, 0.005], [0.602, 0.523, 0.787], [0.747, 0.247, 0.253], [0.287, 0.898, 0.477], [0.852, 0.187, 0.298], [0.270, 0.048, 0.547], [0.282, 0.603, 0.919], [0.648, 0.813, 0.798], [0.930, 0.749, 0.947], [0.787, 0.602, 0.523], [0.453, 0.770, 0.452], [0.884, 0.214, 0.967], [0.505, 0.527, 0.816], [0.047, 0.230, 0.952], [0.241, 0.241, 0.241], [0.028, 0.514, 0.701], [0.472, 0.486, 0.201], [0.684, 0.495, 0.027], [0.702, 0.352, 0.313], [0.014, 0.799, 0.972], [0.533, 0.116, 0.714]]}

(4)
{"formula": "Cr3FeO6", "functional": "GGA+U", "state": "optimized geometry", "space_group": "P1, No. 1", "polymorph_energy_mev_per_atom": 0, "cell": [[-7.261, 5.558, 4.424], [-7.213, -4.047, -6.437], [-3.036, -7.112, 5.649]], "species": ["Fe", "O", "O", "O", "Cr", "Fe", "Cr", "O", "O", "O", "Cr", "Cr", "O", "Fe", "Cr", "O", "O", "O", "O", "O", "Cr", "O", "Cr", "O", "O", "Cr", "O", "Cr", "O", "O", "Cr", "Cr", "O", "Fe", "O", "O", "O", "O", "Cr", "Fe", "Cr", "O", "O", "O", "O", "O", "Fe", "O", "O", "O", "O", "O", "Cr", "O", "O", "Cr", "O", "O", "Fe", "Cr", "O", "O", "O", "Cr", "O", "Cr", "Cr", "Cr", "Cr", "O", "Cr", "O", "O", "Fe", "O", "O", "O", "Cr", "O", "Cr"], "fractional_positions": [[0.490, 0.806, 0.630], [0.534, 0.355, 0.483], [0.466, 0.623, 0.738], [0.569, 0.852, 0.818], [0.142, 0.178, 0.358], [0.358, 0.674, 0.174], [0.159, 0.745, 0.928], [0.288, 0.247, 0.472], [0.725, 0.699, 0.893], [0.965, 0.733, 0.958], [0.661, 0.874, 0.343], [0.310, 0.856, 0.416], [0.476, 0.925, 0.326], [0.422, 0.346, 0.335], [0.070, 0.874, 0.299], [0.013, 0.161, 0.884], [0.232, 0.221, 0.173], [0.845, 0.422, 0.832], [0.785, 0.509, 0.551], [0.296, 0.430, 0.642], [0.618, 0.126, 0.799], [0.546, 0.732, 0.101], [0.072, 0.814, 0.643], [0.553, 0.510, 0.005], [0.175, 0.673, 0.745], [0.819, 0.686, 0.470], [0.109, 0.925, 0.793], [0.903, 0.288, 0.933], [0.781, 0.979, 0.849], [0.345, 0.734, 0.963], [0.673, 0.858, 0.989], [0.832, 0.053, 0.203], [0.508, 0.275, 0.187], [0.675, 0.586, 0.159], [0.823, 0.320, 0.404], [0.911, 0.952, 0.600], [0.967, 0.143, 0.290], [0.312, 0.889, 0.605], [0.417, 0.274, 0.645], [0.295, 0.019, 0.729], [0.883, 0.596, 0.880], [0.045, 0.336, 0.032], [0.125, 0.799, 0.150], [0.331, 0.490, 0.247], [0.679, 0.802, 0.548], [0.259, 0.196, 0.776], [0.514, 0.081, 0.182], [0.036, 0.430, 0.594], [0.070, 0.372, 0.310], [0.908, 0.706, 0.678], [0.126, 0.771, 0.455], [0.140, 0.582, 0.062], [0.956, 0.052, 0.749], [0.892, 0.879, 0.312], [0.802, 0.230, 0.095], [0.319, 0.597, 0.648], [0.860, 0.514, 0.111], [0.562, 0.314, 0.762], [0.689, 0.355, 0.583], [0.206, 0.414, 0.134], [0.721, 0.060, 0.371], [0.770, 0.183, 0.656], [0.961, 0.606, 0.357], [0.195, 0.229, 0.967], [0.708, 0.694, 0.313], [0.156, 0.300, 0.619], [0.943, 0.445, 0.448], [0.859, 0.129, 0.482], [0.503, 0.330, 0.980], [0.482, 0.097, 0.677], [0.918, 0.326, 0.208], [0.383, 0.686, 0.478], [0.515, 0.139, 0.975], [0.766, 0.839, 0.714], [0.691, 0.955, 0.141], [0.187, 0.995, 0.340], [0.041, 0.164, 0.567], [0.984, 0.650, 0.150], [0.317, 0.374, 0.963], [0.511, 0.672, 0.917]]}

(5)
{"formula": "SrCrF4", "functional": "GGA+U", "state": "optimized geometry", "space_group": "I4/mcm, No. 140", "polymorph_energy_mev_per_atom": 0, "cell": [[5.762, 0.000, 0.000], [0.000, 5.762, 0.000], [-2.881, -2.881, 5.544]], "species": ["Sr", "F", "F", "F", "Sr", "F", "Cr", "F", "F", "F", "F", "Cr"], "fractional_positions": [[0.250, 0.250, 0.500], [0.447, 0.305, 0.251], [0.553, 0.695, 0.749], [0.947, 0.447, 0.251], [0.750, 0.750, 0.500], [0.195, 0.053, 0.749], [0.500, 0.000, 0.000], [0.053, 0.553, 0.749], [0.805, 0.947, 0.251], [0.695, 0.195, 0.749], [0.305, 0.805, 0.251], [0.000, 0.500, 0.000]]}

(6)
{"formula": "LiP3W2O12", "functional": "GGA+U", "state": "optimized geometry", "space_group": "R-3c, No. 167", "polymorph_energy_mev_per_atom": 81, "cell": [[-5.791, -0.581, -6.702], [-7.988, -3.643, 1.304], [-7.284, 5.072, -0.059]], "species": ["O", "O", "O", "W", "O", "W", "O", "P", "O", "O", "O", "O", "O", "O", "O", "O", "O", "O", "W", "O", "O", "P", "W", "O", "Li", "O", "O", "O", "O", "O", "P", "P", "O", "P", "P", "Li"], "fractional_positions": [[0.728, 0.941, 0.088], [0.304, 0.506, 0.116], [0.616, 0.006, 0.804], [0.141, 0.141, 0.141], [0.228, 0.588, 0.441], [0.641, 0.641, 0.641], [0.506, 0.116, 0.304], [0.459, 0.041, 0.750], [0.441, 0.228, 0.588], [0.384, 0.994, 0.196], [0.412, 0.559, 0.772], [0.804, 0.616, 0.006], [0.772, 0.412, 0.559], [0.059, 0.912, 0.272], [0.884, 0.696, 0.494], [0.941, 0.088, 0.728], [0.116, 0.304, 0.506], [0.196, 0.384, 0.994], [0.859, 0.859, 0.859], [0.696, 0.494, 0.884], [0.006, 0.804, 0.616], [0.750, 0.459, 0.041], [0.359, 0.359, 0.359], [0.588, 0.441, 0.228], [0.000, 0.000, 0.000], [0.912, 0.272, 0.059], [0.088, 0.728, 0.941], [0.494, 0.884, 0.696], [0.559, 0.772, 0.412], [0.994, 0.196, 0.384], [0.541, 0.959, 0.250], [0.250, 0.541, 0.959], [0.272, 0.059, 0.912], [0.959, 0.250, 0.541], [0.041, 0.750, 0.459], [0.500, 0.500, 0.500]]}

Number 1: total energy -7.608 eV per atom, DFT formation energy -246.02 kJ per mole of atoms, MP2020-corrected energy -8.549 eV per atom. Number 2: total energy -6.973 eV per atom, DFT formation energy -197.24 kJ per mole of atoms, MP2020-corrected energy -7.866 eV per atom. Number 3: total energy -5.321 eV per atom, DFT formation energy -61.78 kJ per mole of atoms, MP2020-corrected energy -5.444 eV per atom. Number 4: total energy -7.318 eV per atom, DFT formation energy -177.93 kJ per mole of atoms, MP2020-corrected energy -8.556 eV per atom. Number 5: total energy -6.069 eV per atom, DFT formation energy -341.88 kJ per mole of atoms, MP2020-corrected energy -6.710 eV per atom. Number 6: total energy -7.246 eV per atom, DFT formation energy -236.42 kJ per mole of atoms, MP2020-corrected energy -8.197 eV per atom.